# 1
VASP calculation (GGA+U) on a relaxed structure of Zn2Fe3As3O26.

M_tot	14.96	μB per cell
calculated formation energy	-0.57	eV per atom
space group	Cm
crystal system	monoclinic

The structure in POSCAR format:
```
Zn2Fe3As3O26
1.0
-4.600 -6.388 1.616
5.214 -4.822 -3.759
4.160 -3.743 6.504
As O Fe Zn
3 26 3 2
Cartesian
-0.007 -9.256 3.193
4.128 -3.872 6.409
4.870 -8.477 0.521
1.497 -4.667 -0.940
1.637 -1.659 2.505
-0.416 -4.972 0.107
-2.922 -6.394 1.672
5.493 -6.259 3.044
2.015 -11.948 2.764
0.938 -7.785 -0.555
4.310 -6.958 -0.043
-0.554 -7.734 2.621
4.144 -13.577 3.612
4.135 -11.610 1.603
4.509 -10.957 5.041
-0.703 -4.925 3.184
3.779 -5.204 5.383
1.669 -9.173 3.545
4.174 -4.147 0.512
6.221 -6.311 4.017
-0.812 -9.633 4.723
2.315 -6.213 2.417
1.227 -6.939 5.381
4.408 -5.225 -2.342
1.950 -10.335 0.550
6.635 -8.445 0.643
4.288 -8.755 2.110
0.823 -4.630 0.154
1.673 -7.037 6.508
-1.884 -6.487 3.324
3.195 -13.214 1.984
5.267 -5.346 -0.593
2.926 -10.123 2.394
2.841 -4.982 3.736
```



# 2
VASP calculation (GGA+U) on a relaxed structure of Li4Fe2Ni3Te3O16.

M_tot	16.00	μB per cell
calculated formation energy	-1.63	eV per atom
space group	P1
crystal system	triclinic

The structure in POSCAR format:
```
Li4Fe2Ni3Te3O16
1.0
-1.221 -0.315 -5.984
2.783 5.016 2.216
8.688 -4.141 -1.401
O Li Te Fe Ni
16 4 3 2 3
Cartesian
7.938 -3.114 -2.907
2.118 1.597 -2.213
7.428 1.769 -4.631
0.875 -0.656 -3.318
7.170 -3.322 -5.868
7.088 -0.076 -0.037
6.596 -0.200 -2.804
9.284 -0.389 -1.907
4.239 -0.089 -0.679
5.592 2.506 0.301
5.064 2.462 -2.684
3.517 -0.194 -3.874
0.506 -1.055 -6.148
8.687 -0.570 -4.677
7.844 1.925 -1.794
1.484 1.352 -4.922
7.007 2.883 1.456
2.520 2.725 -0.715
2.816 4.861 2.035
5.271 -1.006 -4.201
1.954 -0.576 -4.962
8.309 0.704 -3.237
7.542 -1.586 -1.346
5.780 1.285 -1.074
0.425 1.378 -3.042
2.572 -0.422 -2.025
3.311 1.890 -3.867
8.939 0.887 -0.301
```



# 3
VASP calculation (GGA+U) on a relaxed structure of Li6VCr3P6O24.

M_tot	11.00	μB per cell
calculated formation energy	-2.64	eV per atom
space group	P1
crystal system	triclinic

The structure in POSCAR format:
```
Li6VCr3P6O24
1.0
-4.868 -6.643 -2.476
3.559 -6.157 -4.857
1.417 -7.744 3.515
Li P O Cr V
6 6 24 3 1
Cartesian
2.691 -11.969 -2.441
0.199 -10.051 -1.859
-1.048 -12.443 0.087
1.288 -7.957 3.404
-2.621 -8.621 -1.334
-1.432 -11.626 -4.385
-0.947 -9.092 1.274
2.055 -12.433 0.127
-1.983 -8.117 -3.893
3.075 -8.426 -2.195
1.152 -11.467 -5.127
-3.005 -12.066 -1.707
1.057 -12.174 -1.069
3.443 -8.076 -3.670
1.098 -6.516 0.042
-1.456 -12.036 -1.958
1.722 -11.332 1.127
-3.452 -10.642 -2.091
3.651 -9.809 -1.802
0.567 -6.084 -2.786
3.482 -12.341 -0.519
-1.758 -9.235 -4.928
-0.126 -11.271 -6.011
-1.776 -10.390 1.237
-0.424 -14.437 -0.947
1.557 -8.550 -1.964
1.812 -14.033 -3.045
-1.152 -13.898 -3.882
0.594 -11.700 -3.673
-3.165 -12.395 -0.179
-1.008 -8.438 -2.721
0.286 -9.192 2.195
-0.561 -8.885 -0.226
2.066 -10.257 -5.010
-3.402 -8.162 -3.251
-1.719 -6.542 -0.885
0.077 -13.269 -2.469
0.049 -7.347 -1.393
0.020 -2.916 -0.573
0.087 -17.547 -3.257
```



# 4
VASP calculation (GGA+U) on a relaxed structure of Sr3LaMn2O8.

M_tot	0.00	μB per cell
calculated formation energy	-2.89	eV per atom

The structure in POSCAR format:
```
Sr3LaMn2O8
1.0
4.483 -2.859 -1.584
2.175 4.624 -2.189
5.464 2.563 10.842
O Mn Sr La
16 4 6 2
Cartesian
6.664 0.338 3.703
7.719 2.583 2.640
1.690 0.486 -0.927
7.877 3.016 7.138
2.904 3.164 2.509
2.745 2.730 -1.989
5.489 4.004 3.428
4.200 1.291 -0.158
3.943 -0.951 -1.723
4.434 1.760 4.490
5.848 0.263 6.364
4.691 4.002 6.055
0.874 0.410 1.735
4.109 -0.553 2.914
4.999 1.293 -2.785
4.600 2.158 9.127
5.455 2.559 10.824
8.789 3.444 8.948
4.964 -0.152 4.611
3.816 3.592 4.319
3.514 1.649 6.973
3.024 -1.062 0.760
5.768 4.507 8.192
1.960 0.920 3.890
5.277 1.797 1.979
6.934 0.772 8.519
1.848 2.669 0.415
6.822 2.521 5.044
```



# 5
VASP calculation (GGA+U) on a relaxed structure of Co7Sb2O12.

M_tot	42.00	μB per cell
calculated formation energy	-1.53	eV per atom
space group	C2
crystal system	monoclinic

The structure in POSCAR format:
```
Co7Sb2O12
1.0
-5.111 0.189 -3.351
0.280 -1.128 -6.003
-2.322 -14.716 2.588
O Sb Co
24 4 14
Cartesian
-4.160 -7.039 -7.210
-3.261 -11.726 -3.353
-6.024 -10.866 -1.885
-2.863 -14.197 -1.150
-1.416 -7.174 -5.411
-2.137 -3.852 -1.618
-5.630 -11.652 -4.845
-1.603 -6.535 -2.567
-5.182 -14.411 -5.768
-1.292 -9.031 -0.392
-4.809 -4.288 -6.221
-4.881 -3.872 -3.034
-3.944 -8.908 -2.164
-5.310 -13.887 -2.974
-2.541 -1.597 -3.448
-0.073 -2.191 -4.626
-3.619 -9.591 -5.148
-0.163 -1.686 -1.886
-2.873 -14.491 -4.209
-2.491 -1.897 -6.500
-1.129 -9.607 -3.621
-3.420 -11.103 -0.014
-1.966 -4.399 -4.360
-4.289 -6.483 -4.069
-5.640 -5.735 -7.494
-1.120 -2.944 -3.094
-2.360 -9.712 1.146
-4.310 -13.132 -4.518
-4.799 -10.172 -3.494
-3.268 -5.259 -2.821
-2.753 -3.785 -6.217
-5.272 -7.413 -2.548
-2.043 -8.498 -2.187
-1.524 -0.687 -5.116
-2.509 -12.331 -1.478
-6.279 -12.853 -1.546
-5.774 -5.165 -4.461
-4.528 -1.909 -3.421
-4.939 -9.620 -0.552
-3.406 -7.573 -5.416
-3.982 -14.831 0.470
-4.077 -0.602 -6.789
```



# 6
VASP calculation (GGA+U) on a relaxed structure of Ti3CrFe2P6O24.

M_tot	12.00	μB per cell
calculated formation energy	-2.79	eV per atom
space group	R3
crystal system	trigonal

The structure in POSCAR format:
```
Ti3CrFe2P6O24
1.0
-0.517 8.356 -1.708
-1.893 5.418 6.330
6.086 5.221 2.950
P O Ti Fe Cr
6 24 3 2 1
Cartesian
-0.011 12.234 2.541
2.335 8.903 0.346
3.672 6.767 5.057
-1.400 8.135 4.087
5.069 10.882 3.466
1.370 10.096 7.233
5.194 11.589 2.098
-0.149 6.484 1.484
-0.118 11.385 1.264
2.659 9.727 8.001
1.050 11.522 3.430
3.319 10.037 0.477
-1.812 9.584 4.105
2.759 13.659 3.697
0.913 5.319 3.891
1.926 8.505 1.803
0.346 8.953 7.137
1.038 13.117 5.891
0.109 8.112 3.673
3.573 10.849 3.895
3.769 7.635 6.284
1.731 10.461 5.763
2.623 7.448 4.117
5.011 6.638 4.258
3.807 12.509 6.073
-1.524 7.418 5.472
-1.335 12.363 3.327
2.656 5.868 1.669
5.531 9.416 3.460
1.028 9.277 -0.429
0.527 2.722 1.085
2.367 12.230 4.875
1.307 6.754 2.692
0.001 0.003 0.001
1.835 9.480 3.779
3.159 16.321 6.506
```



# 7
VASP calculation (GGA+U) on a relaxed structure of K4Mo3H4O17.

M_tot	0.00	μB per cell
calculated formation energy	-1.67	eV per atom
space group	P-1
crystal system	triclinic

The structure in POSCAR format:
```
K4Mo3H4O17
1.0
-3.342 -2.082 7.657
-2.858 -6.250 -5.268
12.162 -2.553 1.121
O K H Mo
34 8 8 6
Cartesian
-0.602 -3.007 3.734
0.975 -7.017 0.953
4.907 -8.388 5.023
-0.888 -4.973 -3.648
0.229 -6.110 1.848
8.794 -4.470 3.589
1.055 -2.497 -1.512
4.987 -3.868 2.558
3.584 -6.658 3.132
4.206 -5.464 6.395
7.380 -2.444 2.152
0.465 -5.264 5.000
2.378 -4.227 0.379
-0.067 -2.803 1.146
6.564 -7.878 -0.224
5.496 -5.621 -1.490
6.520 -3.230 4.776
-2.389 -5.754 1.170
7.822 -5.014 6.510
1.756 -5.421 -2.884
8.350 -5.131 2.340
3.020 -1.326 1.260
1.914 -6.578 -1.980
-1.419 -8.441 1.359
6.849 -5.912 7.158
-0.558 -7.655 -1.265
-2.832 -6.415 -0.078
5.732 -4.775 1.662
6.029 -8.082 2.365
2.942 -9.559 2.251
-0.267 -5.064 -0.793
4.048 -4.307 5.491
-1.860 -5.871 -2.999
6.229 -5.821 4.303
2.401 -4.160 3.209
9.314 -6.425 -0.061
3.561 -6.725 0.302
1.057 -8.041 3.649
-4.580 -8.059 1.407
-3.352 -4.460 3.572
4.905 -2.844 -0.138
10.542 -2.826 2.103
-1.369 -2.415 3.783
6.273 -7.968 0.739
-0.311 -2.917 2.772
5.982 -6.434 -1.205
-0.261 -5.873 5.247
7.331 -8.470 -0.272
6.223 -5.012 -1.736
-0.021 -4.451 4.716
5.169 -7.236 3.695
0.057 -6.448 -2.690
6.929 -3.904 2.984
5.905 -4.437 6.201
-0.968 -6.981 0.527
0.793 -3.649 -0.184
```



# 8
VASP calculation (GGA+U) on a relaxed structure of CoAs2S4O8F12.

M_tot	4.01	μB per cell
calculated formation energy	-2.00	eV per atom
space group	P2_1/c
crystal system	monoclinic

The structure in POSCAR format:
```
CoAs2S4O8F12
1.0
-12.731 -5.796 -0.805
0.440 -2.152 8.541
-6.171 12.732 5.937
F S O As Co
48 16 32 8 4
Cartesian
-16.830 6.748 8.224
-8.430 6.874 11.805
-0.931 -0.281 7.130
-9.377 3.644 9.760
-9.150 -3.183 8.172
-9.552 5.956 8.802
-15.091 5.586 6.830
-11.071 9.710 6.050
-8.910 -1.171 4.872
-9.313 7.967 5.502
-3.778 2.716 2.688
-1.633 -1.964 5.450
-10.033 -2.090 1.869
-8.269 -3.802 1.361
-14.082 1.322 4.157
-7.392 -4.925 7.624
-0.700 0.258 4.672
-10.194 8.587 12.313
-8.734 10.393 5.366
-4.001 5.158 3.333
-4.190 1.034 8.910
-8.786 0.842 6.405
-15.307 5.080 9.279
-16.246 2.499 3.844
-14.273 3.751 4.765
-9.085 1.140 3.914
-4.381 3.462 9.517
-11.096 -0.366 3.919
-2.217 2.285 9.831
-3.156 -0.296 4.395
-10.830 -0.653 6.398
-12.498 0.902 11.297
-16.008 3.368 7.587
-17.532 5.066 6.544
-3.372 -0.802 6.844
-10.982 1.640 5.430
-7.367 5.150 9.756
-14.462 -0.373 10.341
-14.685 2.069 10.986
-9.729 -5.608 8.308
-2.455 1.416 6.087
-17.762 4.526 9.002
-7.711 -1.386 1.219
-5.965 3.883 2.378
-7.632 5.437 7.276
-7.480 3.145 8.244
-10.751 6.171 12.455
-9.677 3.942 7.269
-6.182 7.037 5.074
-12.281 -2.253 8.600
-12.457 2.498 7.986
-14.660 -1.446 4.750
-10.610 -4.432 4.939
-12.931 -4.463 0.625
-5.532 9.247 13.049
-6.006 2.287 5.688
-7.852 9.217 8.735
-6.418 -2.731 5.595
-7.991 0.357 9.730
-5.074 -0.229 1.980
-3.803 6.230 8.924
-10.472 4.427 3.944
-12.045 7.515 8.079
-13.389 5.014 11.694
-5.735 1.047 6.410
-4.310 6.096 7.584
-9.358 0.020 9.440
-5.726 8.222 12.026
-4.780 6.494 9.982
-6.276 8.109 6.032
-17.089 4.271 12.115
-5.847 -2.375 4.324
-12.545 4.283 10.783
-12.187 -3.325 7.642
-12.728 3.738 7.264
-13.940 6.644 4.518
-6.091 -1.873 6.736
-14.153 -1.311 6.090
-5.131 3.403 5.929
-11.291 -3.378 4.192
-4.523 -1.859 9.156
-11.476 4.907 4.892
-9.287 9.282 8.830
-12.399 -0.425 1.452
-9.176 -4.497 4.844
-12.372 6.658 6.938
-12.737 -3.437 1.648
-13.683 -1.710 3.692
-1.374 0.514 1.559
-6.987 -0.123 8.782
-5.918 0.501 2.891
-12.616 7.159 9.351
-9.105 4.765 4.234
-7.172 8.163 9.483
-6.064 5.210 12.222
-13.332 1.381 7.745
-8.895 -2.436 0.438
-9.909 0.249 5.198
-3.858 2.049 10.433
-9.568 7.221 13.236
-2.004 -0.253 5.727
-16.459 5.038 7.948
-8.554 4.535 8.476
-14.605 2.735 3.241
-11.840 -1.922 2.800
-5.143 -0.390 7.804
-6.623 6.707 10.874
-13.320 5.175 5.870
```



# 9
VASP calculation (GGA+U) on a relaxed structure of PbWO4.

largest piezoelectric modulus	0.875	C/m²
M_tot	0.00	μB per cell
calculated formation energy	-2.00	eV per atom
space group	P1
crystal system	triclinic

The structure in POSCAR format:
```
PbWO4
1.0
-0.695 5.456 0.798
-5.374 -0.510 -1.445
1.510 -3.540 6.178
W O Pb
2 8 2
Cartesian
-2.799 1.837 4.427
-1.734 -0.396 1.089
-2.366 0.978 0.061
-2.227 0.390 5.381
-3.686 1.189 2.974
-1.345 2.846 3.969
-3.162 -1.387 1.638
-3.292 -2.581 4.557
-0.771 0.304 2.473
-1.318 3.936 0.967
0.202 -0.718 4.768
-4.769 2.098 0.773
```